First-principles (PBE with a Hubbard U) data for an optimized crystal structure of V3Zn2FeO11, as listed in the Materials Project.

Summary:
Energy of formation ... -2.1273 eV per atom
Density ... 3959 kg/m3

a b c (Å): 6.579 6.924 10.085
angles (deg): 97.76 102.34 101.35
Space group P-1 (No. 2)
Unique sites:
V1 0.173 0.486 0.289 x2
V2 0.195 0.073 0.618 x2
V3 0.248 0.174 0.972 x2
Zn1 0.282 0.006 0.279 x2
Zn2 0.325 0.622 0.663 x2
Fe1 0.192 0.676 0.004 x2
O1 0.109 0.626 0.788 x2
O2 0.117 0.007 0.425 x2
O3 0.125 0.377 0.012 x2
O4 0.136 0.072 0.802 x2
O5 0.196 0.569 0.457 x2
O6 0.216 0.972 0.060 x2
O7 0.241 0.700 0.215 x2
O8 0.310 0.317 0.647 x2
O9 0.345 0.317 0.277 x2
O10 0.390 0.935 0.655 x2
O11 0.489 0.718 0.004 x2